## MgFe8O14F2 (GGA+U)

Data for a relaxed structure of MgFe8O14F2.

```
MgFe8O14F2
1.0
5.1905 0.0000 0.0000
1.0840 5.0942 0.0000
0.0973 0.0755 11.7695
Mg Fe O F
1 8 14 2
direct
0.0000 0.0000 0.0000
0.3060 0.2959 0.2526
0.3130 0.3090 0.5005
0.3313 0.3259 0.0003
0.3432 0.2779 0.7482
0.7128 0.7165 0.8745
0.7166 0.7203 0.6175
0.7191 0.7063 0.1321
0.7345 0.7260 0.3750
0.1645 0.1653 0.1146
0.1730 0.1596 0.6230
0.1752 0.1623 0.8849
0.4705 0.4649 0.3786
0.4838 0.4731 0.1225
0.4901 0.4687 0.6250
0.4960 0.4682 0.8754
0.5806 0.9494 0.2552
0.5880 0.9583 0.4927
0.6109 0.9473 0.7477
0.6237 0.9790 0.0027
0.9597 0.5717 0.2560
0.9628 0.5784 0.4961
0.9900 0.6214 0.9989
0.1391 0.1320 0.3780
0.9861 0.5801 0.7496
```

Values from the calculation:
E_tot = -152.81 eV/cell
E above lowest polymorph = 0.078 eV per atom
ΔH_f (0 K) = -1558 meV/atom
space-group type = No. 1

***

## RbMo3P2O14 (GGA+U)

Data for a relaxed structure of RbMo3P2O14.

```
RbMo3P2O14
1.0
9.1342 0.0000 0.0000
0.0000 6.5142 0.0000
-3.8904 0.0000 10.1734
Rb Mo P O
2 6 4 28
direct
0.0103 0.2500 0.2517
0.9897 0.7500 0.7483
0.2641 0.7500 0.1750
0.2791 0.7500 0.4956
0.3469 0.2500 0.8806
0.6531 0.7500 0.1194
0.7209 0.2500 0.5044
0.7359 0.2500 0.8250
0.3589 0.2500 0.5684
0.3914 0.2500 0.1986
0.6086 0.7500 0.8014
0.6411 0.7500 0.4316
0.0997 0.7500 0.0362
0.1219 0.7500 0.5455
0.1648 0.7500 0.3004
0.2343 0.0345 0.8738
0.2343 0.4655 0.8738
0.2846 0.0613 0.1907
0.2846 0.4387 0.1907
0.2917 0.0616 0.4798
0.2917 0.4384 0.4798
0.2994 0.2500 0.6841
0.4332 0.7500 0.1133
0.4499 0.2500 0.0813
0.4600 0.7500 0.3842
0.4660 0.7500 0.6727
0.5340 0.2500 0.3273
0.5400 0.2500 0.6158
0.5501 0.7500 0.9187
0.5668 0.2500 0.8867
0.7006 0.7500 0.3159
0.7083 0.5616 0.5202
0.7083 0.9384 0.5202
0.7154 0.5613 0.8093
0.7154 0.9387 0.8093
0.7657 0.5345 0.1262
0.7657 0.9655 0.1262
0.8352 0.2500 0.6996
0.8781 0.2500 0.4545
0.9003 0.2500 0.9638
```

Values from the calculation:
E_tot = -280.42 eV/cell
ΔH_f (0 K) = -2291 meV/atom
space-group type = No. 11

***

## Li9Mn2Co5O16 (GGA+U)

Data for a relaxed structure of Li9Mn2Co5O16.

```
Li9Mn2Co5O16
1.0
2.8953 0.0000 0.0000
1.2657 9.6735 0.0000
0.2147 0.8971 10.1068
Li Mn Co O
9 2 5 16
direct
0.0000 0.0000 0.0000
0.1155 0.7547 0.1814
0.1224 0.7503 0.6871
0.3745 0.2515 0.5602
0.3758 0.2421 0.0535
0.6242 0.7579 0.9465
0.6255 0.7485 0.4398
0.8776 0.2497 0.3129
0.8845 0.2453 0.8186
0.4981 0.0022 0.7543
0.5019 0.9978 0.2457
0.0000 0.0000 0.5000
0.2500 0.4997 0.3749
0.2505 0.5009 0.8747
0.7495 0.4991 0.1253
0.7500 0.5003 0.6251
0.0439 0.8886 0.8299
0.0449 0.8938 0.3456
0.1740 0.6184 0.5348
0.1748 0.6171 0.0350
0.3245 0.3852 0.7132
0.3252 0.3823 0.2147
0.4412 0.1165 0.8885
0.4565 0.1059 0.4107
0.5435 0.8941 0.5893
0.5588 0.8835 0.1115
0.6748 0.6177 0.7853
0.6755 0.6148 0.2868
0.8252 0.3829 0.9650
0.8260 0.3816 0.4652
0.9551 0.1062 0.6544
0.9561 0.1114 0.1701
```

Values from the calculation:
E_tot = -186.82 eV/cell
E above lowest polymorph = 0.017 eV per atom
ΔH_f (0 K) = -1848 meV/atom
space-group type = No. 2

***

## La6MgWO12 (GGA+U)

Data for a relaxed structure of La6MgWO12.

```
La6MgWO12
1.0
5.2724 3.0440 3.2627
-5.2724 3.0440 3.2627
0.0000 -6.0880 3.2627
La Mg W O
6 1 1 12
direct
0.0335 0.7550 0.2115
0.2115 0.0335 0.7550
0.4850 0.6459 0.9977
0.6459 0.9977 0.4850
0.7550 0.2115 0.0335
0.9977 0.4850 0.6459
0.6053 0.6053 0.6053
0.3345 0.3345 0.3345
0.0498 0.4030 0.2754
0.1793 0.7597 0.9269
0.2754 0.0498 0.4030
0.3330 0.4291 0.6454
0.4030 0.2754 0.0498
0.4291 0.6454 0.3330
0.5365 0.8959 0.7659
0.6454 0.3330 0.4291
0.7597 0.9269 0.1793
0.7659 0.5365 0.8959
0.8959 0.7659 0.5365
0.9269 0.1793 0.7597
```

Values from the calculation:
E_tot = -158.70 eV/cell
E above lowest polymorph = 0.105 eV per atom
ΔH_f (0 K) = -3391 meV/atom
space-group type = No. 146

***

## LiCoPO4 (GGA+U)

Data for a relaxed structure of LiCoPO4.

```
LiCoPO4
1.0
8.6352 0.0000 0.0000
0.0000 7.6174 0.0000
-8.4543 0.0000 14.9998
Li Co P O
12 12 12 48
direct
0.0013 0.0428 0.2431
0.0013 0.4572 0.7431
0.2940 0.0184 0.0694
0.2940 0.4816 0.5694
0.3558 0.0232 0.5860
0.3558 0.4768 0.0860
0.6442 0.5232 0.9140
0.6442 0.9768 0.4140
0.7060 0.5184 0.4306
0.7060 0.9816 0.9306
0.9987 0.5428 0.2569
0.9987 0.9572 0.7569
0.0164 0.1768 0.4205
0.0164 0.3232 0.9205
0.3220 0.1832 0.2366
0.3220 0.3168 0.7366
0.3517 0.6775 0.4100
0.3517 0.8225 0.9100
0.6483 0.1775 0.0900
0.6483 0.3225 0.5900
0.6780 0.6832 0.2634
0.6780 0.8168 0.7634
0.9836 0.6768 0.0795
0.9836 0.8232 0.5795
0.0337 0.7353 0.9237
0.0337 0.7647 0.4237
0.3099 0.7200 0.7316
0.3099 0.7800 0.2316
0.3476 0.2347 0.9074
0.3476 0.2653 0.4074
0.6524 0.7347 0.5926
0.6524 0.7653 0.0926
0.6901 0.2200 0.7684
0.6901 0.2800 0.2684
0.9663 0.2353 0.5763
0.9663 0.2647 0.0763
0.0734 0.2332 0.6802
0.0734 0.2668 0.1802
0.0961 0.2230 0.0402
0.0961 0.2770 0.5402
0.1279 0.5563 0.9600
0.1279 0.9437 0.4600
0.1407 0.2251 0.8584
0.1407 0.2749 0.3584
0.1835 0.6247 0.4560
0.1835 0.8753 0.9560
0.2122 0.7283 0.7873
0.2122 0.7717 0.2873
0.2448 0.6285 0.1622
0.2448 0.8715 0.6622
0.2619 0.5478 0.6760
0.2619 0.9522 0.1760
0.4091 0.1212 0.3642
0.4091 0.3788 0.8642
0.4142 0.2225 0.5074
0.4142 0.2775 0.0074
0.4285 0.0595 0.8971
0.4285 0.4405 0.3971
0.4872 0.2254 0.7009
0.4872 0.2746 0.2009
0.5128 0.7254 0.7991
0.5128 0.7746 0.2991
0.5715 0.5595 0.6029
0.5715 0.9405 0.1029
0.5858 0.7225 0.9926
0.5858 0.7775 0.4926
0.5909 0.6212 0.1358
0.5909 0.8788 0.6358
0.7381 0.0478 0.8240
0.7381 0.4522 0.3240
0.7552 0.1285 0.3378
0.7552 0.3715 0.8378
0.7878 0.2283 0.7127
0.7878 0.2717 0.2127
0.8165 0.1247 0.0440
0.8165 0.3753 0.5440
0.8593 0.7251 0.6416
0.8593 0.7749 0.1416
0.8721 0.0563 0.5400
0.8721 0.4437 0.0400
0.9039 0.7230 0.4598
0.9039 0.7770 0.9598
0.9266 0.7332 0.8198
0.9266 0.7668 0.3198
```

Values from the calculation:
E_tot = -553.52 eV/cell
E above lowest polymorph = 0.081 eV per atom
ΔH_f (0 K) = -2327 meV/atom
space-group type = No. 14

***

## Li3Fe2O3F3 (GGA+U)

Data for a relaxed structure of Li3Fe2O3F3.

```
Li3Fe2O3F3
1.0
1.6124 0.9309 13.6445
-1.6124 0.9309 13.6445
0.0000 -1.8618 13.6445
Li Fe O F
3 2 3 3
direct
0.0000 0.0000 0.0000
0.1227 0.1227 0.1227
0.3949 0.3949 0.3949
0.2637 0.2637 0.2637
0.5226 0.5226 0.5226
0.1816 0.1816 0.1816
0.5695 0.5695 0.5695
0.9512 0.9512 0.9512
0.0759 0.0759 0.0759
0.3478 0.3478 0.3478
0.4680 0.4680 0.4680
```

Values from the calculation:
E_tot = -61.80 eV/cell
ΔH_f (0 K) = -2409 meV/atom
space-group type = No. 160